1.
This record from the Materials Project database describes a geometry-optimized NaInBP2HO9 structure. The functional is PBE-GGA.

a b c (Å): 5.2616 17.0035 9.1437
angles (deg): 90.00 120.47 90.00
With the nearest neighbours (Å) after each atom.
Space group P2_1/c (No. 14)
Asymmetric unit:
Na: 0.0190 0.1603 0.1602  5 O 2.45-2.69
In: 0.4661 0.6597 0.7943  6 O 2.15-2.27
B: 0.3549 0.5251 0.2469  4 O 1.47-1.49
P: 0.2188 0.6676 0.0748  4 O 1.54-1.60
P: 0.2649 0.0879 0.9349  4 O 1.51-1.58
H: 0.2906 0.0245 0.5284  1 O 0.98
O: 0.0121 0.6347 0.6143  1 P 1.51
O: 0.0742 0.1979 0.5747  1 P 1.54
O: 0.1463 0.5851 0.1284  1 B 1.49, 1 P 1.60
O: 0.1891 0.0131 0.8188  1 B 1.48, 1 P 1.57
O: 0.3349 0.7197 0.2342  1 P 1.54
O: 0.3662 0.0596 0.1208  1 B 1.47, 1 P 1.58
O: 0.4324 0.0300 0.6495  1 H 0.98
O: 0.4598 0.6570 0.0272  1 P 1.55
O: 0.4889 0.6350 0.5675  1 P 1.53

For the relative energy among the computed polymorphs, the calculation gives 0 meV/atom. As for the MP2020-corrected energy: -7.132 eV/atom. The formation energy comes out at -2.498 eV/atom. For the electronic total energy, the calculation gives -403.20 eV for the cell shown.

2.
This record from the Materials Project database describes a geometry-optimized NaInBP2HO9 structure. The functional is PBE-GGA.

a b c (Å): 5.2578 17.0677 9.2395
angles (deg): 90.00 121.27 90.00
With the nearest neighbours (Å) after each atom.
Space group P2_1/c (No. 14)
Asymmetric unit:
Na: 0.0168 0.1612 0.1613  7 O 2.51-2.81
In: 0.4843 0.6558 0.8061  6 O 2.14-2.25
B: 0.3412 0.5286 0.2511  4 O 1.46-1.49
P: 0.2317 0.6700 0.0817  4 O 1.53-1.59
P: 0.2556 0.0876 0.9270  4 O 1.51-1.58
H: 0.4539 0.5033 0.0787  1 O 0.97
O: 0.0253 0.6334 0.6242  1 P 1.51
O: 0.0591 0.1996 0.5735  1 P 1.54
O: 0.1474 0.5921 0.1412  1 B 1.47, 1 P 1.59
O: 0.1714 0.0119 0.8132  1 B 1.46, 1 P 1.58
O: 0.3552 0.7249 0.2350  1 P 1.53
O: 0.3697 0.0612 0.1137  1 B 1.49, 1 P 1.57
O: 0.4099 0.0269 0.6518  1 H 0.97
O: 0.4741 0.6513 0.0377  1 P 1.56
O: 0.4998 0.1333 0.9206  1 P 1.53

For the relative energy among the computed polymorphs, the calculation gives 14 meV/atom. As for the MP2020-corrected energy: -7.119 eV/atom. The formation energy comes out at -2.485 eV/atom. For the electronic total energy, the calculation gives -402.38 eV for the cell shown.

3.
This record from the Materials Project database describes a geometry-optimized KB3H3 structure. The functional is PBE-GGA.

a b c (Å): 8.8999 8.8999 8.8999
angles (deg): 90.00 90.00 90.00
With the nearest neighbours (Å) after each atom.
Space group Fm-3m (No. 225)
Asymmetric unit:
K: 0.2500 0.2500 0.2500  12 H 3.15, 12 B 3.30
B: 0.0000 0.0000 0.1374  1 H 1.21
H: 0.0000 0.0000 0.2731  1 B 1.21

As for the MP2020-corrected energy: -4.851 eV/atom. The formation energy comes out at -0.376 eV/atom. For the electronic total energy, the calculation gives -267.37 eV for the cell shown.

4.
This record from the Materials Project database describes a geometry-optimized KBH4 structure. The functional is PBE-GGA.

a b c (Å): 6.7396 6.7396 6.7396
angles (deg): 90.00 90.00 90.00
With the nearest neighbours (Å) after each atom.
Space group F-43m (No. 216)
Asymmetric unit:
K: 0.0000 0.0000 0.0000  12 H 2.84
B: 0.0000 0.0000 0.5000  4 H 1.23
H: 0.1051 0.1051 0.6051  1 B 1.23

As for the MP2020-corrected energy: -4.067 eV/atom. The formation energy comes out at -0.507 eV/atom. For the electronic total energy, the calculation gives -94.75 eV for the cell shown.

5.
This record from the Materials Project database describes a geometry-optimized KBH4 structure. The functional is PBE-GGA.

a b c (Å): 8.1605 3.4119 8.8175
angles (deg): 90.00 90.00 90.00
With the nearest neighbours (Å) after each atom.
Space group Pnma (No. 62)
Asymmetric unit:
K: 0.2465 0.2500 0.2401  11 H 2.57-2.76
B: 0.0292 0.7500 0.4610  2 H 1.28-1.29
H: 0.0061 0.2500 0.6820  1 B 1.29
H: 0.1069 0.6401 0.0074  1 H 0.75
H: 0.1859 0.7500 0.4513  1 B 1.28

As for the MP2020-corrected energy: -3.755 eV/atom. The formation energy comes out at -0.195 eV/atom. For the electronic total energy, the calculation gives -87.26 eV for the cell shown.

6.
This record from the Materials Project database describes a geometry-optimized KB5H5 structure. The functional is PBE-GGA.

a b c (Å): 6.8121 11.2639 14.5018
angles (deg): 90.00 115.06 90.00
With the nearest neighbours (Å) after each atom.
Space group P2_1/c (No. 14)
Asymmetric unit:
K: 0.1083 0.0332 0.3422  8 H 2.79-3.07
K: 0.3184 0.6314 0.5524  5 H 2.67-2.91
B: 0.1060 0.2211 0.6342  1 H 1.21
B: 0.1202 0.2281 0.5129  1 H 1.21
B: 0.1979 0.1435 0.0990  1 H 1.21
B: 0.2541 0.1074 0.5979  1 H 1.21
B: 0.2945 0.1655 0.0099  1 H 1.20
B: 0.3125 0.1411 0.7210  1 H 1.20
B: 0.3637 0.2113 0.2196  1 H 1.21
B: 0.4052 0.1968 0.5470  1 H 1.21
B: 0.4843 0.1758 0.1329  1 H 1.20
B: 0.4895 0.6753 0.8169  1 H 1.21
H: 0.0412 0.7059 0.0630  1 B 1.21
H: 0.0697 0.7205 0.8643  1 B 1.21
H: 0.1018 0.0532 0.0988  1 B 1.21
H: 0.2078 0.0069 0.5681  1 B 1.21
H: 0.2819 0.1030 0.9407  1 B 1.20
H: 0.3094 0.6358 0.7710  1 B 1.21
H: 0.3133 0.0781 0.7874  1 B 1.20
H: 0.3570 0.6140 0.3379  1 B 1.20
H: 0.4174 0.1524 0.2958  1 B 1.21
H: 0.4938 0.1472 0.5010  1 B 1.21

As for the MP2020-corrected energy: -5.062 eV/atom. The formation energy comes out at -0.383 eV/atom. For the electronic total energy, the calculation gives -438.28 eV for the cell shown.

7.
This record from the Materials Project database describes a geometry-optimized KBH4 structure. The functional is PBE-GGA.

a b c (Å): 4.7277 4.7277 6.6732
angles (deg): 90.00 90.00 90.00
With the nearest neighbours (Å) after each atom.
Space group P4_2/nmc (No. 137, origin choice 2)
Asymmetric unit:
K: 0.2500 0.7500 0.2500  12 H 2.81-2.82
B: 0.2500 0.7500 0.7500  4 H 1.23
H: 0.0382 0.7500 0.6428  1 B 1.23

As for the MP2020-corrected energy: -4.071 eV/atom. The formation energy comes out at -0.511 eV/atom. For the electronic total energy, the calculation gives -47.42 eV for the cell shown.

8.
This record from the Materials Project database describes a geometry-optimized KB6H6 structure. The functional is PBE-GGA.

a b c (Å): 10.7823 10.7823 10.7823
angles (deg): 90.00 90.00 90.00
With the nearest neighbours (Å) after each atom.
Space group Fm-3 (No. 202)
Asymmetric unit:
K: 0.2500 0.2500 0.2500  12 H 2.95
B: 0.0000 0.0822 0.1336  1 H 1.20
H: 0.0000 0.1397 0.2293  1 B 1.20

As for the MP2020-corrected energy: -5.190 eV/atom. The formation energy comes out at -0.456 eV/atom. For the electronic total energy, the calculation gives -531.18 eV for the cell shown.

9.
This record from the Materials Project database describes a geometry-optimized KLiB2H8 structure. The functional is PBE-GGA.

a b c (Å): 7.8974 4.4054 14.0926
angles (deg): 90.00 90.00 90.00
With the nearest neighbours (Å) after each atom.
Space group Pnma (No. 62)
Asymmetric unit:
K: 0.1598 0.2500 0.1292  14 H 2.73-3.05
Li: 0.1882 0.7500 0.3624  6 H 1.95-2.18
B: 0.0706 0.2500 0.7376  4 H 1.22-1.23
B: 0.2460 0.7500 0.9531  4 H 1.22-1.23
H: 0.0099 0.0197 0.7023  1 B 1.23
H: 0.0450 0.2500 0.8237  1 B 1.23
H: 0.1228 0.7500 0.0066  1 B 1.23
H: 0.1656 0.0261 0.4696  1 B 1.23
H: 0.1974 0.7500 0.8708  1 B 1.22
H: 0.2234 0.2500 0.7234  1 B 1.22

As for the MP2020-corrected energy: -4.104 eV/atom. The formation energy comes out at -0.478 eV/atom. For the electronic total energy, the calculation gives -191.28 eV for the cell shown.